Entry 1:
Ba4LiW2N7 after structural relaxation. Source: the Materials Project database, functional GGA-PBE.

Summary:
* E: -7.5786 eV/atom
* formation energy from the elements: -1055 meV/atom

Cell: 6.575 10.488 17.526 Å, 62.70 90.00 90.00°
Atoms (fractional coordinates):
W  0.225  0.049  0.345
W  0.225  0.951  0.155
W  0.775  0.049  0.845
W  0.775  0.951  0.655
W  0.330  0.518  0.903
W  0.670  0.482  0.097
W  0.670  0.518  0.403
W  0.330  0.482  0.597
N  0.921  0.423  0.436
N  0.725  0.709  0.329
N  0.465  0.016  0.092
N  0.500  0.500  0.500
N  0.012  0.945  0.416
N  0.183  0.753  0.195
N  0.500  0.500  0.000
N  0.921  0.577  0.064
N  0.275  0.709  0.829
N  0.470  0.432  0.847
N  0.012  0.055  0.084
N  0.275  0.291  0.671
N  0.465  0.984  0.408
N  0.535  0.016  0.592
N  0.725  0.291  0.171
N  0.817  0.247  0.805
N  0.240  0.000  0.250
N  0.079  0.423  0.936
N  0.760  0.000  0.750
N  0.988  0.055  0.584
N  0.079  0.577  0.564
N  0.535  0.984  0.908
N  0.530  0.432  0.347
N  0.470  0.568  0.653
N  0.988  0.945  0.916
N  0.817  0.753  0.695
N  0.530  0.568  0.153
N  0.183  0.247  0.305
Ba  0.721  0.259  0.984
Ba  0.977  0.500  0.250
Ba  0.316  0.000  0.750
Ba  0.279  0.741  0.016
Ba  0.771  0.151  0.428
Ba  0.721  0.741  0.516
Ba  0.684  0.000  0.250
Ba  0.229  0.151  0.928
Ba  0.279  0.259  0.484
Ba  0.858  0.303  0.621
Ba  0.142  0.303  0.121
Ba  0.771  0.849  0.072
Ba  0.142  0.697  0.379
Ba  0.858  0.697  0.879
Ba  0.023  0.500  0.750
Ba  0.229  0.849  0.572
Li  0.456  0.367  0.261
Li  0.544  0.367  0.761
Li  0.456  0.633  0.239
Li  0.544  0.633  0.739

***

Entry 2:
Ba4LiNb3O12 after structural relaxation. Source: the Materials Project database, functional GGA-PBE.

Summary:
* E: -7.7564 eV/atom
* formation energy from the elements: -3205 meV/atom

Cell: 5.882 10.213 19.357 Å, 90.00 90.00 90.00°
Atoms (fractional coordinates):
Ba  0.250  0.907  0.139
Ba  0.250  0.248  0.498
Ba  0.250  0.928  0.367
Ba  0.750  0.084  0.251
Ba  0.750  0.416  0.751
Ba  0.250  0.593  0.639
Ba  0.750  0.428  0.133
Ba  0.750  0.752  0.502
Ba  0.250  0.572  0.867
Ba  0.750  0.748  0.002
Ba  0.250  0.584  0.249
Ba  0.750  0.407  0.361
Ba  0.250  0.252  0.998
Ba  0.250  0.916  0.749
Ba  0.750  0.072  0.633
Ba  0.750  0.093  0.861
O  0.510  0.671  0.758
O  0.990  0.829  0.258
O  0.500  0.000  0.000
O  0.010  0.329  0.242
O  0.512  0.161  0.379
O  0.750  0.915  0.380
O  0.000  0.500  0.000
O  0.250  0.091  0.241
O  0.750  0.909  0.759
O  0.504  0.166  0.119
O  0.500  0.000  0.500
O  0.510  0.829  0.258
O  0.250  0.409  0.741
O  0.750  0.927  0.121
O  0.512  0.339  0.879
O  0.500  0.500  0.500
O  0.988  0.339  0.879
O  0.750  0.585  0.880
O  0.996  0.334  0.619
O  0.500  0.500  0.000
O  0.004  0.666  0.381
O  0.250  0.415  0.120
O  0.490  0.329  0.242
O  0.000  0.000  0.000
O  0.750  0.591  0.259
O  0.750  0.573  0.621
O  0.250  0.753  0.500
O  0.250  0.747  0.000
O  0.750  0.247  0.500
O  0.990  0.671  0.758
O  0.996  0.166  0.119
O  0.004  0.834  0.881
O  0.250  0.073  0.879
O  0.504  0.334  0.619
O  0.000  0.500  0.500
O  0.012  0.839  0.621
O  0.012  0.661  0.121
O  0.496  0.834  0.881
O  0.000  0.000  0.500
O  0.988  0.161  0.379
O  0.488  0.839  0.621
O  0.750  0.253  0.000
O  0.250  0.427  0.379
O  0.496  0.666  0.381
O  0.490  0.171  0.742
O  0.250  0.085  0.620
O  0.010  0.171  0.742
O  0.488  0.661  0.121
Nb  0.250  0.919  0.936
Nb  0.250  0.581  0.436
Nb  0.750  0.751  0.310
Nb  0.750  0.413  0.937
Nb  0.250  0.913  0.563
Nb  0.750  0.081  0.064
Nb  0.750  0.419  0.564
Nb  0.250  0.249  0.690
Nb  0.250  0.251  0.190
Nb  0.750  0.087  0.437
Nb  0.750  0.749  0.810
Nb  0.250  0.587  0.063
Li  0.750  0.749  0.167
Li  0.250  0.249  0.333
Li  0.250  0.251  0.833
Li  0.750  0.751  0.667

***

Entry 3:
Ba4LiNb3O12 after structural relaxation. Source: the Materials Project database, functional GGA-PBE.

Summary:
* maximum piezoelectric response: 0.801 C/m²
* E: -7.7576 eV/atom
* formation energy from the elements: -3207 meV/atom

Cell: 5.887 5.887 19.401 Å, 90.00 90.00 120.00°
Atoms (fractional coordinates):
O  0.661  0.830  0.878
O  0.841  0.159  0.757
O  0.339  0.170  0.378
O  0.170  0.830  0.878
O  0.830  0.170  0.378
O  0.159  0.841  0.257
O  0.997  0.499  0.497
O  0.346  0.173  0.118
O  0.159  0.319  0.257
O  0.173  0.827  0.618
O  0.319  0.159  0.757
O  0.654  0.827  0.618
O  0.170  0.339  0.878
O  0.501  0.003  0.497
O  0.827  0.173  0.118
O  0.499  0.997  0.997
O  0.681  0.841  0.257
O  0.830  0.661  0.378
O  0.003  0.501  0.997
O  0.499  0.501  0.997
O  0.173  0.346  0.618
O  0.501  0.499  0.497
O  0.827  0.654  0.118
O  0.841  0.681  0.757
Nb  0.667  0.333  0.068
Nb  0.000  0.000  0.808
Nb  0.333  0.667  0.568
Nb  0.667  0.333  0.440
Nb  0.333  0.667  0.940
Nb  0.000  0.000  0.308
Li  0.000  0.000  0.166
Li  0.000  0.000  0.666
Ba  0.333  0.667  0.751
Ba  0.667  0.333  0.871
Ba  0.333  0.667  0.144
Ba  0.667  0.333  0.644
Ba  0.000  0.000  0.501
Ba  0.000  0.000  0.001
Ba  0.667  0.333  0.251
Ba  0.333  0.667  0.371

***

Entry 4:
BaLi4O3 after structural relaxation. Source: the Materials Project database, functional GGA-PBE.

Summary:
* E: -4.9566 eV/atom
* formation energy from the elements: -2164 meV/atom

Cell: 5.452 5.452 13.707 Å, 90.00 90.00 115.48°
Atoms (fractional coordinates):
O  0.509  0.991  0.250
O  0.495  0.505  0.601
O  0.311  0.689  0.009
O  0.009  0.491  0.250
O  0.689  0.311  0.991
O  0.811  0.189  0.491
O  0.491  0.009  0.750
O  0.991  0.509  0.750
O  0.505  0.495  0.399
O  0.189  0.811  0.509
O  0.995  0.005  0.899
O  0.005  0.995  0.101
Li  0.202  0.798  0.160
Li  0.309  0.041  0.994
Li  0.164  0.836  0.822
Li  0.836  0.164  0.178
Li  0.191  0.459  0.494
Li  0.798  0.202  0.840
Li  0.541  0.809  0.494
Li  0.691  0.959  0.006
Li  0.041  0.309  0.006
Li  0.809  0.541  0.506
Li  0.664  0.336  0.678
Li  0.298  0.702  0.660
Li  0.459  0.191  0.506
Li  0.336  0.664  0.322
Li  0.702  0.298  0.340
Li  0.959  0.691  0.994
Ba  0.521  0.479  0.157
Ba  0.479  0.521  0.843
Ba  0.979  0.021  0.657
Ba  0.021  0.979  0.343

***

Entry 5:
BaLi4O3 after structural relaxation. Source: the Materials Project database, functional GGA-PBE.

Summary:
* E: -4.9580 eV/atom
* formation energy from the elements: -2166 meV/atom

Cell: 5.435 5.435 13.691 Å, 90.00 90.00 115.53°
Atoms (fractional coordinates):
O  0.760  0.746  0.749
O  0.753  0.247  0.898
O  0.254  0.240  0.749
O  0.743  0.257  0.102
O  0.569  0.431  0.508
O  0.257  0.743  0.602
O  0.431  0.569  0.008
O  0.240  0.254  0.249
O  0.938  0.062  0.490
O  0.247  0.753  0.398
O  0.746  0.760  0.249
O  0.062  0.938  0.990
Li  0.211  0.436  0.492
Li  0.945  0.700  0.505
Li  0.055  0.300  0.005
Li  0.789  0.564  0.992
Li  0.451  0.549  0.658
Li  0.584  0.416  0.821
Li  0.564  0.789  0.492
Li  0.549  0.451  0.158
Li  0.300  0.055  0.505
Li  0.950  0.050  0.842
Li  0.916  0.084  0.177
Li  0.050  0.950  0.342
Li  0.436  0.211  0.992
Li  0.084  0.916  0.677
Li  0.700  0.945  0.005
Li  0.416  0.584  0.321
Ba  0.773  0.227  0.656
Ba  0.227  0.773  0.156
Ba  0.729  0.271  0.342
Ba  0.271  0.729  0.842

***

Entry 6:
Ba3LiOs2O9 after structural relaxation. Source: the Materials Project database, functional GGA-PBE.

Summary:
* E: -6.9310 eV/atom
* formation energy from the elements: -2366 meV/atom

Cell: 5.900 5.900 14.217 Å, 90.00 90.00 120.00°
Atoms (fractional coordinates):
O  0.177  0.823  0.412
O  0.016  0.508  0.250
O  0.823  0.177  0.912
O  0.823  0.177  0.588
O  0.508  0.016  0.750
O  0.492  0.508  0.250
O  0.823  0.646  0.912
O  0.177  0.354  0.088
O  0.646  0.823  0.088
O  0.984  0.492  0.750
O  0.177  0.823  0.088
O  0.354  0.177  0.912
O  0.177  0.354  0.412
O  0.646  0.823  0.412
O  0.823  0.646  0.588
O  0.354  0.177  0.588
O  0.508  0.492  0.750
O  0.492  0.984  0.250
Ba  0.333  0.667  0.587
Ba  0.667  0.333  0.087
Ba  0.667  0.333  0.413
Ba  0.333  0.667  0.913
Ba  0.000  0.000  0.750
Ba  0.000  0.000  0.250
Os  0.333  0.667  0.160
Os  0.333  0.667  0.340
Os  0.667  0.333  0.840
Os  0.667  0.333  0.660
Li  0.000  0.000  0.500
Li  0.000  0.000  0.000

***

Entry 7:
Ba4LiRh4O12 after structural relaxation. Source: the Materials Project database, functional GGA-PBE.

Summary:
* excess energy over the best structure of this formula in the dataset: 1 meV per atom
* E: -6.2666 eV/atom
* formation energy from the elements: -1973 meV/atom

Cell: 5.907 5.910 9.987 Å, 87.70 92.32 121.30°
Atoms (fractional coordinates):
O  0.810  0.191  0.290
O  0.193  0.808  0.772
O  0.459  0.538  0.477
O  0.635  0.818  0.742
O  0.556  0.916  0.040
O  0.959  0.563  0.513
O  0.556  0.438  0.959
O  0.083  0.444  0.039
O  0.440  0.041  0.513
O  0.374  0.195  0.224
O  0.804  0.625  0.224
O  0.181  0.366  0.741
Rh  0.317  0.683  0.616
Rh  0.357  0.642  0.890
Rh  0.703  0.296  0.113
Rh  0.643  0.357  0.385
Ba  0.973  0.028  0.517
Ba  0.669  0.332  0.736
Ba  0.028  0.971  0.982
Ba  0.283  0.717  0.286
Li  0.468  0.530  0.118

***

Entry 8:
Ba4LiRh4O12 after structural relaxation. Source: the Materials Project database, functional GGA-PBE.

Summary:
* excess energy over the best structure of this formula in the dataset: 0 meV per atom
* E: -6.2675 eV/atom
* formation energy from the elements: -1974 meV/atom

Cell: 5.919 5.743 9.989 Å, 90.00 93.76 119.03°
Atoms (fractional coordinates):
O  0.213  0.842  0.733
O  0.382  0.960  0.012
O  0.590  0.555  0.512
O  0.806  0.632  0.247
O  0.076  0.538  0.472
O  0.806  0.175  0.247
O  0.590  0.036  0.512
O  0.637  0.819  0.785
O  0.382  0.422  0.012
O  0.366  0.183  0.264
O  0.213  0.371  0.733
O  0.913  0.457  0.977
Li  0.283  0.142  0.851
Rh  0.383  0.691  0.614
Rh  0.691  0.345  0.387
Rh  0.315  0.657  0.888
Rh  0.627  0.314  0.112
Ba  0.324  0.662  0.252
Ba  0.751  0.375  0.724
Ba  0.046  0.023  0.485
Ba  0.919  0.960  0.045

***

Entry 9:
Ba4LiRh4O12 after structural relaxation. Source: the Materials Project database, functional GGA-PBE.

Summary:
* excess energy over the best structure of this formula in the dataset: 65 meV per atom
* E: -6.2022 eV/atom
* formation energy from the elements: -1908 meV/atom

Cell: 5.778 5.778 10.463 Å, 90.00 90.00 120.00°
Atoms (fractional coordinates):
Ba  0.333  0.667  0.307
Ba  0.000  0.000  0.020
Ba  0.667  0.333  0.757
Ba  0.000  0.000  0.532
O  0.496  0.504  0.995
O  0.814  0.628  0.244
O  0.636  0.818  0.736
O  0.182  0.364  0.736
O  0.503  0.497  0.498
O  0.814  0.186  0.244
O  0.372  0.186  0.244
O  0.008  0.504  0.995
O  0.182  0.818  0.736
O  0.503  0.005  0.498
O  0.496  0.992  0.995
O  0.995  0.497  0.498
Rh  0.667  0.333  0.110
Rh  0.333  0.667  0.864
Rh  0.667  0.333  0.377
Rh  0.333  0.667  0.608
Li  0.333  0.667  0.073

***

Entry 10:
Ba4LiRh4O12 after structural relaxation. Source: the Materials Project database, functional GGA-PBE.

Summary:
* excess energy over the best structure of this formula in the dataset: 5 meV per atom
* E: -6.2627 eV/atom
* formation energy from the elements: -1969 meV/atom

Cell: 5.812 5.812 10.064 Å, 90.00 90.00 120.00°
Atoms (fractional coordinates):
O  0.496  0.992  0.494
O  0.496  0.993  0.006
O  0.365  0.182  0.250
O  0.496  0.504  0.006
O  0.008  0.504  0.494
O  0.007  0.504  0.006
O  0.818  0.635  0.250
O  0.182  0.818  0.750
O  0.182  0.364  0.750
O  0.636  0.818  0.750
O  0.818  0.182  0.250
O  0.496  0.504  0.494
Ba  0.000  0.000  0.455
Ba  0.000  0.000  0.045
Ba  0.667  0.333  0.750
Ba  0.333  0.667  0.251
Li  0.000  0.000  0.751
Rh  0.333  0.667  0.887
Rh  0.333  0.667  0.614
Rh  0.667  0.333  0.387
Rh  0.667  0.333  0.113